(1)
First-principles (r²SCAN) data for a relaxed structure of Mg2Ti3MnS8, as listed in Materials Project.

Cell lengths 7.2583, 7.2583, 18.3118 Å; angles 90.00, 90.00, 120.00 degrees
Space group R-3m (No. 166, hexagonal axes)
Symmetry-distinct sites (fractional):
Mg: 0.0000 0.0000 0.1247 [6 per cell]
Ti: 0.0000 0.5000 0.0000 [9 per cell]
Mn: 0.0000 0.0000 0.5000 [3 per cell]
S: 0.0000 0.0000 0.2582 [6 per cell]
S: 0.0239 0.5120 0.2561 [18 per cell]

Computed properties:
DFT total energy (eV/atom): -10.485
Formation energy from the elements (eV/atom): -1.48

=====

(2)
First-principles (r²SCAN) data for a relaxed structure of Sr3GaN3, as listed in Materials Project.

Cell lengths 7.5802, 7.5802, 5.4182 Å; angles 90.00, 90.00, 120.00 degrees
Space group P6_3/m (No. 176)
Symmetry-distinct sites (fractional):
Sr: 0.0720 0.3580 0.2500 [6 per cell]
Ga: 0.3333 0.6667 0.7500 [2 per cell]
N: 0.0951 0.4023 0.7500 [6 per cell]

Computed properties:
DFT total energy (eV/atom): -12.845
Formation energy from the elements (eV/atom): -0.81

=====

(3)
First-principles (r²SCAN) data for a relaxed structure of AlV2O4, as listed in Materials Project.

Cell lengths 5.808, 5.817, 10.154 Å; angles 90.03, 106.60, 119.81 degrees
Space group P1 (No. 1)
Symmetry-distinct sites (fractional):
Al: 0.000 0.000 0.000 [1 per cell]
Al: 0.003 0.510 0.507 [1 per cell]
Al: 0.749 0.373 0.130 [1 per cell]
Al: 0.753 0.884 0.624 [1 per cell]
V: 0.366 0.944 0.318 [1 per cell]
V: 0.371 0.435 0.317 [1 per cell]
V: 0.372 0.682 0.062 [1 per cell]
V: 0.374 0.200 0.557 [1 per cell]
V: 0.378 0.449 0.816 [1 per cell]
V: 0.388 0.962 0.812 [1 per cell]
V: 0.866 0.439 0.814 [1 per cell]
V: 0.878 0.941 0.314 [1 per cell]
O: 0.118 0.320 0.439 [1 per cell]
O: 0.119 0.061 0.185 [1 per cell]
O: 0.121 0.815 0.441 [1 per cell]
O: 0.122 0.312 0.940 [1 per cell]
O: 0.123 0.562 0.191 [1 per cell]
O: 0.125 0.581 0.692 [1 per cell]
O: 0.126 0.078 0.683 [1 per cell]
O: 0.132 0.817 0.936 [1 per cell]
O: 0.614 0.055 0.190 [1 per cell]
O: 0.618 0.558 0.190 [1 per cell]
O: 0.623 0.821 0.438 [1 per cell]
O: 0.625 0.074 0.683 [1 per cell]
O: 0.625 0.575 0.687 [1 per cell]
O: 0.629 0.825 0.940 [1 per cell]
O: 0.630 0.322 0.945 [1 per cell]
O: 0.632 0.324 0.440 [1 per cell]

Computed properties:
DFT total energy (eV/atom): -11.235
Excess energy over the best structure of this formula in the dataset (meV per atom): 0.0
Formation energy from the elements (eV/atom): -2.84

=====

(4)
First-principles (r²SCAN) data for a relaxed structure of BaH2, as listed in Materials Project.

Cell lengths 6.843, 4.178, 7.891 Å; angles 90.00, 90.00, 90.00 degrees
Space group Pnma (No. 62)
Symmetry-distinct sites (fractional):
Ba: 0.239 0.250 0.113 [4 per cell]
H: 0.028 0.750 0.319 [4 per cell]
H: 0.145 0.750 0.928 [4 per cell]

Computed properties:
DFT total energy (eV/atom): -11.731
Formation energy from the elements (eV/atom): -0.59

=====

Which formula does entry 3 have? AlV2O4

=====

Among the records above, which one has the highest DFT total energy? Mg2Ti3MnS8

=====

Which formula does entry 4 have? BaH2

=====

The highest DFT total energy belongs to which entry? Mg2Ti3MnS8